A relaxed SbP2O7 crystal. Source: the Materials Project, functional GGA-PBE.

Geometry as extended XYZ:
```
20
Lattice="6.532 0.000 0.000 0.906 6.563 0.000 0.284 2.734 6.602" Properties=species:S:1:pos:R:3 pbc="T T T"
Sb 1.298 1.324 1.787
Sb 6.423 7.973 4.815
P 1.392 4.693 0.929
P 3.289 7.118 4.928
P 4.432 2.179 1.674
P 6.330 4.604 5.673
O 1.041 3.494 1.804
O 1.070 4.053 6.385
O 2.100 7.870 4.115
O 2.092 5.801 1.714
O 2.639 6.864 6.384
O 3.733 5.867 4.307
O 3.323 1.093 1.413
O 4.399 8.204 5.189
O 3.989 3.430 2.295
O 5.082 2.433 0.218
O 5.630 3.496 4.888
O 5.621 1.427 2.487
O 6.652 5.244 0.217
O 6.681 5.803 4.798
```

Properties
Distance to the lowest polymorph of the same formula, kcal/mol of atoms: 2.78
Crystal system: triclinic
E_tot, eV per atom: -6.75
DFT formation energy, eV/atom: -2.267

---

A relaxed SbP2O7 crystal. Source: the Materials Project, functional GGA-PBE.

Geometry as extended XYZ:
```
80
Lattice="8.164 0.000 0.000 0.000 16.474 0.000 0.000 0.000 8.184" Properties=species:S:1:pos:R:3 pbc="T T T"
Sb 0.140 2.006 0.000
Sb 0.135 6.063 3.908
Sb 3.942 10.243 4.092
Sb 3.947 14.300 8.000
Sb 4.217 2.174 3.908
Sb 4.222 6.231 0.000
Sb 8.029 10.411 8.000
Sb 8.024 14.468 4.092
P 0.606 15.318 0.964
P 0.881 11.321 3.072
P 0.909 2.834 3.119
P 1.007 6.724 0.788
P 3.075 14.961 4.880
P 3.173 11.071 7.211
P 3.201 3.084 7.164
P 3.476 7.081 5.056
P 4.687 9.393 0.964
P 4.963 13.390 3.072
P 4.991 5.403 3.119
P 5.089 1.512 0.788
P 7.157 9.749 4.880
P 7.255 13.640 7.211
P 7.283 5.153 7.164
P 7.558 1.156 5.056
O 0.065 2.848 1.805
O 0.252 7.982 1.039
O 0.262 1.216 6.355
O 0.397 5.917 7.687
O 0.446 1.494 3.890
O 0.498 4.002 4.007
O 0.627 12.835 3.275
O 0.978 0.336 0.708
O 1.083 10.990 1.621
O 1.099 5.718 1.934
O 1.634 15.296 4.319
O 1.696 10.906 6.933
O 1.803 14.428 0.931
O 1.997 2.702 8.061
O 2.085 10.939 3.969
O 2.279 6.191 5.023
O 2.386 2.669 2.841
O 2.448 7.059 0.227
O 2.983 13.955 6.026
O 2.999 2.753 5.713
O 3.104 8.573 4.800
O 3.455 4.598 7.367
O 3.584 12.238 8.099
O 3.636 9.731 7.982
O 3.685 14.154 3.595
O 3.820 9.453 2.263
O 3.830 16.218 5.131
O 4.017 11.085 5.897
O 4.147 5.389 1.805
O 4.334 0.255 1.039
O 4.344 7.021 6.355
O 4.479 2.320 7.687
O 4.528 6.743 3.890
O 4.580 4.235 4.007
O 4.709 11.876 3.275
O 5.060 7.901 0.708
O 5.165 13.721 1.621
O 5.181 2.519 1.934
O 5.716 9.415 4.319
O 5.778 13.804 6.933
O 5.885 10.283 0.931
O 6.079 5.535 8.061
O 6.167 13.772 3.969
O 6.361 2.046 5.023
O 6.468 5.567 2.841
O 6.530 1.178 0.227
O 7.064 10.755 6.026
O 7.081 5.484 5.713
O 7.186 16.138 4.800
O 7.536 3.639 7.367
O 7.666 12.472 8.099
O 7.718 14.979 7.982
O 7.767 10.557 3.595
O 7.901 15.258 2.263
O 7.912 8.492 5.131
O 8.099 13.626 5.897
```

Properties
Distance to the lowest polymorph of the same formula, kcal/mol of atoms: 0.00
Crystal system: orthorhombic
E_tot, eV per atom: -6.87
DFT formation energy, eV/atom: -2.388